No. 1
First-principles (PBE-GGA) data for a geometry-optimized Na2Hf2SiP2O12 structure, as listed in the Materials Project database.

Unit cell a=8.980 b=8.980 c=23.022 alpha=90.02 beta=89.98 gamma=119.79
Element x y z (fractional)
Hf (0.341, 0.670, 0.814)
Hf (0.659, 0.329, 0.981)
Hf (0.335, 0.675, 0.020)
Hf (0.003, 0.999, 0.647)
Hf (0.325, 0.665, 0.520)
Hf (0.001, 0.997, 0.147)
Hf (0.670, 0.334, 0.686)
Hf (0.998, 0.007, 0.853)
Hf (0.993, 0.002, 0.353)
Hf (0.671, 0.341, 0.481)
Hf (0.666, 0.330, 0.186)
Hf (0.330, 0.659, 0.314)
O (0.975, 0.173, 0.305)
O (0.306, 0.469, 0.757)
O (0.485, 0.356, 0.138)
O (0.145, 0.634, 0.078)
O (0.469, 0.163, 0.244)
O (0.366, 0.855, 0.578)
O (0.513, 0.639, 0.863)
O (0.968, 0.167, 0.590)
O (0.030, 0.844, 0.410)
O (0.542, 0.848, 0.473)
O (0.694, 0.532, 0.243)
O (0.492, 0.349, 0.422)
O (0.635, 0.134, 0.424)
O (0.797, 0.822, 0.196)
O (0.651, 0.508, 0.922)
O (0.175, 0.193, 0.410)
O (0.139, 0.491, 0.577)
O (0.803, 0.977, 0.411)
O (0.832, 0.321, 0.245)
O (0.531, 0.694, 0.257)
O (0.023, 0.197, 0.911)
O (0.208, 0.174, 0.803)
O (0.679, 0.168, 0.745)
O (0.465, 0.155, 0.524)
O (0.166, 0.699, 0.471)
O (0.468, 0.306, 0.743)
O (0.874, 0.362, 0.638)
O (0.696, 0.158, 0.030)
O (0.825, 0.808, 0.589)
O (0.513, 0.832, 0.754)
O (0.833, 0.032, 0.090)
O (0.644, 0.515, 0.638)
O (0.358, 0.870, 0.857)
O (0.182, 0.019, 0.589)
O (0.507, 0.869, 0.365)
O (0.849, 0.495, 0.422)
O (0.837, 0.531, 0.744)
O (0.845, 0.535, 0.024)
O (0.207, 0.024, 0.307)
O (0.025, 0.206, 0.189)
O (0.807, 0.825, 0.910)
O (0.192, 0.175, 0.089)
O (0.301, 0.834, 0.971)
O (0.495, 0.132, 0.640)
O (0.505, 0.151, 0.922)
O (0.976, 0.793, 0.807)
O (0.032, 0.828, 0.698)
O (0.168, 0.487, 0.254)
O (0.842, 0.304, 0.530)
O (0.827, 0.025, 0.805)
O (0.509, 0.861, 0.077)
O (0.794, 0.975, 0.689)
O (0.981, 0.818, 0.089)
O (0.866, 0.365, 0.924)
O (0.460, 0.305, 0.029)
O (0.156, 0.970, 0.910)
O (0.695, 0.540, 0.529)
O (0.178, 0.203, 0.696)
O (0.868, 0.505, 0.140)
O (0.361, 0.487, 0.363)
O (0.152, 0.458, 0.973)
O (0.130, 0.642, 0.357)
O (0.162, 0.691, 0.757)
O (0.638, 0.126, 0.138)
O (0.172, 0.968, 0.198)
O (0.507, 0.647, 0.577)
O (0.353, 0.493, 0.077)
O (0.131, 0.493, 0.865)
O (0.826, 0.792, 0.303)
O (0.310, 0.462, 0.471)
O (0.309, 0.838, 0.257)
O (0.538, 0.690, 0.971)
P (0.376, 0.333, 0.084)
P (0.289, 0.291, 0.750)
P (0.667, 0.624, 0.584)
P (0.623, 0.955, 0.418)
P (0.709, 0.711, 0.250)
P (0.333, 0.376, 0.417)
P (0.665, 0.042, 0.084)
P (0.958, 0.335, 0.584)
P (0.624, 0.667, 0.917)
P (0.045, 0.377, 0.918)
P (0.292, 0.002, 0.252)
P (0.998, 0.708, 0.752)
Na (0.366, 0.999, 0.750)
Na (0.330, 0.026, 0.419)
Na (0.329, 0.655, 0.667)
Na (0.005, 0.996, 0.500)
Na (0.004, 0.995, 0.000)
Na (0.664, 0.969, 0.586)
Na (0.674, 0.335, 0.334)
Na (0.974, 0.670, 0.919)
Na (0.665, 0.326, 0.834)
Na (0.345, 0.671, 0.167)
Na (0.001, 0.634, 0.250)
Na (0.031, 0.336, 0.086)
Si (0.708, 0.000, 0.748)
Si (0.000, 0.292, 0.248)
Si (0.335, 0.962, 0.915)
Si (0.038, 0.665, 0.415)
Si (0.373, 0.043, 0.582)
Si (0.957, 0.627, 0.082)

Total moment = 0.00 μB/atom
Space-group type = Cc, No. 9

***

No. 2
First-principles (PBE-GGA) data for a geometry-optimized Na7Hf4Si5PO24 structure, as listed in the Materials Project database.

Unit cell a=9.169 b=9.172 c=22.795 alpha=89.93 beta=90.03 gamma=120.01
Element x y z (fractional)
O (0.798, 0.834, 0.196)
O (0.691, 0.521, 0.244)
O (0.187, 0.021, 0.588)
O (0.462, 0.303, 0.026)
O (0.634, 0.507, 0.641)
O (0.174, 0.208, 0.692)
O (0.169, 0.478, 0.256)
O (0.129, 0.491, 0.859)
O (0.697, 0.537, 0.525)
O (0.493, 0.127, 0.640)
O (0.846, 0.534, 0.024)
O (0.829, 0.032, 0.089)
O (0.874, 0.507, 0.140)
O (0.356, 0.854, 0.577)
O (0.160, 0.973, 0.912)
O (0.637, 0.122, 0.140)
O (0.521, 0.830, 0.756)
O (0.148, 0.500, 0.577)
O (0.184, 0.165, 0.088)
O (0.205, 0.172, 0.808)
O (0.461, 0.161, 0.525)
O (0.879, 0.369, 0.643)
O (0.845, 0.506, 0.421)
O (0.482, 0.166, 0.244)
O (0.535, 0.690, 0.970)
O (0.495, 0.154, 0.922)
O (0.358, 0.485, 0.362)
O (0.790, 0.966, 0.691)
O (0.033, 0.209, 0.190)
O (0.835, 0.813, 0.588)
O (0.315, 0.481, 0.757)
O (0.160, 0.463, 0.974)
O (0.631, 0.142, 0.421)
O (0.033, 0.826, 0.693)
O (0.516, 0.639, 0.861)
O (0.496, 0.642, 0.577)
O (0.480, 0.310, 0.745)
O (0.857, 0.365, 0.922)
O (0.694, 0.159, 0.031)
O (0.979, 0.164, 0.589)
O (0.173, 0.967, 0.193)
O (0.831, 0.519, 0.745)
O (0.156, 0.694, 0.474)
O (0.687, 0.167, 0.745)
O (0.028, 0.841, 0.412)
O (0.349, 0.500, 0.079)
O (0.826, 0.791, 0.309)
O (0.178, 0.195, 0.412)
O (0.208, 0.035, 0.308)
O (0.506, 0.869, 0.076)
O (0.639, 0.505, 0.923)
O (0.831, 0.310, 0.244)
O (0.987, 0.819, 0.087)
O (0.966, 0.166, 0.304)
O (0.311, 0.831, 0.255)
O (0.359, 0.873, 0.858)
O (0.150, 0.648, 0.077)
O (0.308, 0.843, 0.974)
O (0.127, 0.641, 0.358)
O (0.539, 0.842, 0.474)
O (0.811, 0.972, 0.412)
O (0.833, 0.033, 0.805)
O (0.169, 0.688, 0.756)
O (0.029, 0.189, 0.912)
O (0.518, 0.684, 0.257)
O (0.834, 0.299, 0.529)
O (0.509, 0.869, 0.359)
O (0.495, 0.360, 0.422)
O (0.310, 0.459, 0.472)
O (0.968, 0.794, 0.808)
O (0.804, 0.820, 0.912)
O (0.486, 0.355, 0.142)
P (0.625, 0.667, 0.917)
P (0.667, 0.042, 0.084)
P (0.332, 0.374, 0.417)
Na (0.037, 0.337, 0.085)
Na (0.668, 0.320, 0.834)
Na (0.364, 0.364, 0.248)
Na (0.031, 0.700, 0.583)
Na (0.635, 0.634, 0.749)
Na (0.331, 0.029, 0.417)
Na (0.000, 0.634, 0.250)
Na (0.301, 0.332, 0.584)
Na (0.296, 0.969, 0.082)
Na (0.334, 0.666, 0.667)
Na (0.990, 0.994, 0.000)
Na (0.679, 0.331, 0.335)
Na (0.703, 0.669, 0.418)
Na (0.999, 0.364, 0.750)
Na (0.340, 0.662, 0.166)
Na (0.996, 0.004, 0.499)
Na (0.973, 0.669, 0.917)
Na (0.668, 0.968, 0.583)
Na (0.367, 0.002, 0.750)
Na (0.637, 0.001, 0.251)
Na (0.330, 0.296, 0.918)
Hf (0.997, 0.001, 0.352)
Hf (0.668, 0.339, 0.185)
Hf (0.329, 0.668, 0.315)
Hf (0.000, 0.999, 0.648)
Hf (0.334, 0.670, 0.518)
Hf (0.331, 0.670, 0.815)
Hf (0.999, 0.003, 0.853)
Hf (0.674, 0.332, 0.481)
Hf (0.667, 0.333, 0.685)
Hf (0.666, 0.331, 0.981)
Hf (0.999, 0.995, 0.148)
Hf (0.332, 0.664, 0.019)
Si (0.628, 0.962, 0.416)
Si (0.373, 0.335, 0.083)
Si (0.708, 0.708, 0.251)
Si (0.000, 0.291, 0.248)
Si (0.961, 0.333, 0.584)
Si (0.666, 0.626, 0.583)
Si (0.037, 0.666, 0.416)
Si (0.294, 0.001, 0.250)
Si (0.960, 0.629, 0.082)
Si (0.374, 0.041, 0.582)
Si (0.707, 0.000, 0.749)
Si (0.294, 0.294, 0.750)
Si (0.999, 0.707, 0.751)
Si (0.038, 0.371, 0.917)
Si (0.335, 0.962, 0.917)

Total moment = 0.00 μB/atom
Space-group type = P1, No. 1

***

E_form readings, ordered: -3.2221; -3.1972 eV per atom
Electronic total energy readings, ordered: -7.956; -7.682 eV/atom